Entry from Materials Project: a relaxed structure of UTa2O7 (PBE).

Calculated values
As for the electronic total energy: -0.7273 Ry per atom. As for the calculated formation energy: -3.41 eV/atom.

a b c (Å): 7.373 7.488 10.551
angles (deg): 90.00 90.00 90.00
Space group Imma (No. 74)
Unique sites:
U 0.000 0.000 0.000 x4
Ta 0.000 0.000 0.500 x4
Ta 0.250 0.250 0.250 x4
O 0.000 0.250 0.179 x4
O 0.000 0.250 0.555 x4
O 0.000 0.250 0.913 x4
O 0.204 0.063 0.380 x16

Entry from Materials Project: a relaxed structure of Y7Ta3O18 (PBE).

Calculated values
As for the electronic total energy: -0.6913 Ry per atom. As for the calculated formation energy: -3.78 eV/atom.

a b c (Å): 6.435 6.449 18.824
angles (deg): 89.76 89.93 70.32
Space group P-1 (No. 2)
Unique sites:
Y 0.000 0.000 0.000 x1
Y 0.000 0.500 0.500 x1
Y 0.001 0.003 0.394 x2
Y 0.001 0.003 0.802 x2
Y 0.031 0.502 0.301 x2
Y 0.036 0.502 0.900 x2
Y 0.498 0.963 0.100 x2
Y 0.498 0.971 0.700 x2
Ta 0.497 0.498 0.411 x2
Ta 0.499 0.498 0.204 x2
Ta 0.500 0.000 0.500 x1
Ta 0.500 0.500 0.000 x1
O 0.127 0.129 0.099 x2
O 0.130 0.130 0.705 x2
O 0.137 0.137 0.301 x2
O 0.138 0.139 0.899 x2
O 0.153 0.615 0.405 x2
O 0.170 0.112 0.492 x2
O 0.177 0.565 0.190 x2
O 0.177 0.572 0.013 x2
O 0.178 0.575 0.786 x2
O 0.178 0.590 0.606 x2
O 0.407 0.367 0.500 x2
O 0.409 0.861 0.593 x2
O 0.421 0.823 0.212 x2
O 0.427 0.823 0.987 x2
O 0.433 0.822 0.812 x2
O 0.436 0.438 0.899 x2
O 0.437 0.823 0.394 x2
O 0.445 0.439 0.306 x2

Entry from Materials Project: a relaxed structure of Y3TaO7 (PBE).

Calculated values
As for the electronic total energy: -0.6899 Ry per atom. For the energy relative to the lowest polymorph listed for this composition, the calculation gives 6 meV/atom. As for the calculated formation energy: -3.83 eV/atom.

a b c (Å): 7.466 10.578 7.538
angles (deg): 90.00 90.00 90.00
Space group Cmcm (No. 63)
Unique sites:
Y 0.000 0.000 0.000 x4
Y 0.233 0.267 0.250 x8
Ta 0.000 0.500 0.000 x4
O 0.000 0.129 0.750 x4
O 0.000 0.138 0.250 x4
O 0.000 0.436 0.250 x4
O 0.197 0.375 0.531 x16

Entry from Materials Project: a relaxed structure of Y3TaO7 (PBE).

Calculated values
As for the electronic total energy: -0.6711 Ry per atom. For the energy relative to the lowest polymorph listed for this composition, the calculation gives 261 meV/atom. As for the calculated formation energy: -3.58 eV/atom.

a b c (Å): 7.478 14.521 5.375
angles (deg): 90.00 90.00 90.00
Space group Cmme (No. 67)
Unique sites:
Y 0.000 0.119 0.028 x8
Y 0.250 0.250 0.500 x4
Ta 0.250 0.000 0.500 x4
O 0.000 0.012 0.288 x8
O 0.000 0.250 0.257 x4
O 0.219 0.119 0.736 x16

Entry from Materials Project: a relaxed structure of Y11Ta5O28 (PBE).

Calculated values
As for the electronic total energy: -0.6925 Ry per atom. For the energy relative to the lowest polymorph listed for this composition, the calculation gives 1 meV/atom. As for the calculated formation energy: -3.75 eV/atom.

a b c (Å): 7.467 7.452 10.535
angles (deg): 90.00 90.44 90.00
Space group Pm (No. 6)
Unique sites:
Y 0.000 0.000 0.000 x1
Y 0.003 0.500 0.517 x1
Y 0.029 0.000 0.497 x1
Y 0.032 0.500 0.032 x1
Y 0.243 0.257 0.766 x2
Y 0.498 0.500 0.030 x1
Y 0.516 0.000 0.005 x1
Y 0.528 0.500 0.518 x1
Y 0.769 0.252 0.259 x2
Ta 0.260 0.225 0.249 x2
Ta 0.495 0.000 0.489 x1
Ta 0.763 0.249 0.759 x2
O 0.049 0.231 0.134 x2
O 0.058 0.269 0.379 x2
O 0.259 0.000 0.883 x1
O 0.263 0.500 0.897 x1
O 0.266 0.500 0.193 x1
O 0.272 0.500 0.628 x1
O 0.275 0.000 0.358 x1
O 0.292 0.000 0.609 x1
O 0.463 0.253 0.398 x2
O 0.479 0.233 0.141 x2
O 0.563 0.281 0.876 x2
O 0.601 0.183 0.618 x2
O 0.741 0.000 0.401 x1
O 0.748 0.500 0.686 x1
O 0.760 0.500 0.394 x1
O 0.763 0.000 0.126 x1
O 0.765 0.500 0.129 x1
O 0.773 0.000 0.827 x1
O 0.962 0.285 0.882 x2
O 0.980 0.225 0.640 x2

Entry from Materials Project: a relaxed structure of Y3TaO7 (PBE).

Calculated values
As for the electronic total energy: -0.6903 Ry per atom. For the largest piezoelectric modulus, the calculation gives 0.33 C/m2. For the energy relative to the lowest polymorph listed for this composition, the calculation gives 0 meV/atom. As for the calculated formation energy: -3.84 eV/atom.

a b c (Å): 7.616 10.587 7.487
angles (deg): 90.00 90.00 90.00
Space group C222_1 (No. 20)
Unique sites:
Y 0.039 0.000 0.000 x4
Y 0.233 0.268 0.759 x8
Ta 0.002 0.500 0.000 x4
O 0.000 0.129 0.250 x4
O 0.000 0.140 0.750 x4
O 0.000 0.433 0.750 x4
O 0.176 0.371 0.045 x8
O 0.205 0.377 0.477 x8

Entry from Materials Project: a relaxed structure of Y11Ta5O28 (PBE).

Calculated values
As for the electronic total energy: -0.6926 Ry per atom. For the energy relative to the lowest polymorph listed for this composition, the calculation gives 0 meV/atom. As for the calculated formation energy: -3.75 eV/atom.

a b c (Å): 6.453 7.371 13.030
angles (deg): 106.42 99.51 90.08
Space group P1 (No. 1)
Unique sites:
Y 0.000 0.000 0.000 x1
Y 0.001 0.002 0.499 x1
Y 0.218 0.877 0.253 x1
Y 0.279 0.375 0.247 x1
Y 0.478 0.741 0.980 x1
Y 0.497 0.757 0.501 x1
Y 0.508 0.245 0.497 x1
Y 0.522 0.260 0.018 x1
Y 0.722 0.625 0.751 x1
Y 0.784 0.123 0.745 x1
Y 0.999 0.500 0.999 x1
Ta 0.001 0.501 0.499 x1
Ta 0.259 0.362 0.754 x1
Ta 0.259 0.893 0.754 x1
Ta 0.741 0.638 0.245 x1
Ta 0.742 0.107 0.244 x1
O 0.032 0.129 0.210 x1
O 0.032 0.582 0.210 x1
O 0.121 0.096 0.691 x1
O 0.141 0.348 0.591 x1
O 0.149 0.745 0.589 x1
O 0.197 0.785 0.068 x1
O 0.206 0.286 0.068 x1
O 0.269 0.463 0.430 x1
O 0.301 0.976 0.445 x1
O 0.340 0.987 0.913 x1
O 0.341 0.427 0.912 x1
O 0.356 0.642 0.783 x1
O 0.468 0.122 0.300 x1
O 0.469 0.679 0.301 x1
O 0.532 0.321 0.696 x1
O 0.533 0.877 0.697 x1
O 0.644 0.358 0.215 x1
O 0.662 0.014 0.085 x1
O 0.662 0.573 0.086 x1
O 0.702 0.027 0.554 x1
O 0.731 0.537 0.568 x1
O 0.793 0.716 0.930 x1
O 0.804 0.215 0.930 x1
O 0.852 0.254 0.410 x1
O 0.857 0.654 0.408 x1
O 0.880 0.904 0.307 x1
O 0.969 0.418 0.790 x1
O 0.969 0.870 0.788 x1

Entry from Materials Project: a relaxed structure of Y3TaO7 (PBE).

Calculated values
As for the electronic total energy: -0.6815 Ry per atom. For the largest piezoelectric modulus, the calculation gives 3.10 C/m2. For the energy relative to the lowest polymorph listed for this composition, the calculation gives 120 meV/atom. As for the calculated formation energy: -3.72 eV/atom.

a b c (Å): 5.558 7.591 8.171
angles (deg): 63.98 89.58 89.56
Space group P1 (No. 1)
Unique sites:
Y 0.000 0.000 0.000 x1
Y 0.008 0.658 0.462 x1
Y 0.043 0.158 0.456 x1
Y 0.066 0.499 0.998 x1
Y 0.522 0.076 0.239 x1
Y 0.537 0.575 0.241 x1
Ta 0.523 0.857 0.750 x1
Ta 0.538 0.357 0.744 x1
O 0.195 0.726 0.119 x1
O 0.212 0.921 0.399 x1
O 0.233 0.002 0.735 x1
O 0.316 0.331 0.242 x1
O 0.330 0.223 0.951 x1
O 0.348 0.454 0.533 x1
O 0.365 0.619 0.776 x1
O 0.693 0.111 0.783 x1
O 0.706 0.947 0.535 x1
O 0.730 0.715 0.955 x1
O 0.743 0.831 0.238 x1
O 0.825 0.495 0.742 x1
O 0.834 0.416 0.420 x1
O 0.867 0.228 0.132 x1

Entry from Materials Project: a relaxed structure of Y11Ta5O28 (PBE).

Calculated values
As for the electronic total energy: -0.6925 Ry per atom. For the energy relative to the lowest polymorph listed for this composition, the calculation gives 0 meV/atom. As for the calculated formation energy: -3.75 eV/atom.

a b c (Å): 24.936 7.375 6.445
angles (deg): 90.00 99.85 90.00
Space group C2/m (No. 12)
Unique sites:
Y 0.000 0.000 0.000 x2
Y 0.000 0.246 0.500 x4
Y 0.123 0.000 0.780 x4
Y 0.126 0.500 0.722 x4
Y 0.241 0.500 0.480 x4
Y 0.250 0.250 0.000 x4
Ta 0.000 0.500 0.000 x2
Ta 0.128 0.236 0.258 x8
O 0.027 0.000 0.700 x4
O 0.035 0.500 0.731 x4
O 0.046 0.301 0.143 x8
O 0.096 0.000 0.122 x4
O 0.098 0.223 0.531 x8
O 0.143 0.500 0.359 x4
O 0.145 0.273 0.967 x8
O 0.207 0.221 0.338 x8
O 0.215 0.000 0.803 x4
O 0.216 0.500 0.795 x4

Entry from Materials Project: a relaxed structure of Ta2ZnO6 (PBE).

Calculated values
As for the electronic total energy: -0.6328 Ry per atom. For the energy relative to the lowest polymorph listed for this composition, the calculation gives 0 meV/atom. As for the calculated formation energy: -2.99 eV/atom.

a b c (Å): 4.762 17.363 5.116
angles (deg): 90.00 90.00 90.00
Space group Pbcn (No. 60)
Unique sites:
Ta 0.000 0.056 0.250 x4
Ta 0.000 0.281 0.750 x4
Zn 0.000 0.398 0.250 x4
O 0.217 0.035 0.572 x8
O 0.230 0.372 0.601 x8
O 0.240 0.288 0.072 x8